(1)
Here is a geometry-optimized La2USe5 structure from the Materials Project. Energies are from r²SCAN.

- Uncorrected energy: -28.481 eV per atom
- ΔH_f (0 K): -2.107 eV/atom

Unit cell a=12.5117 b=7.9473 c=8.6135 alpha=90.00 beta=90.00 gamma=90.00
With the nearest neighbours (Å) after each atom.
Space group Pna2_1 (No. 33)
Inequivalent atoms, fractional coordinates:
La  0.1762  0.0277  0.0000 [4 per cell]  8 Se 3.09-3.26
La  0.1766  0.0285  0.5010 [4 per cell]  8 Se 3.09-3.25
U  0.0089  0.5708  0.7502 [4 per cell]  7 Se 2.81-3.05
Se  0.0015  0.9547  0.7504 [4 per cell]  1 U 3.05, 4 La 3.10-3.12, 1 Se 3.41
Se  0.0919  0.6654  0.0419 [4 per cell]  2 U 2.82-2.89, 2 La 3.09-3.11
Se  0.0931  0.6645  0.4600 [4 per cell]  2 U 2.81-2.90, 2 La 3.10
Se  0.1869  0.3354  0.7501 [4 per cell]  1 U 2.91, 3 La 3.15-3.25
Se  0.2138  0.3087  0.2504 [4 per cell]  1 U 2.95, 4 La 3.09-3.14


(2)
Here is a geometry-optimized LaSi2 structure from the Materials Project. Energies are from r²SCAN.

- Uncorrected energy: -16.472 eV per atom
- ΔH_f (0 K): -0.708 eV/atom

Unit cell a=4.3883 b=4.3883 c=13.6102 alpha=90.00 beta=90.00 gamma=90.00
With the nearest neighbours (Å) after each atom.
Space group I4_1/amd (No. 141, origin choice 2)
Inequivalent atoms, fractional coordinates:
La  0.0000  0.2500  0.3750 [4 per cell]  12 Si 3.13-3.32
Si  0.0000  0.2500  0.7892 [8 per cell]  3 Si 2.33-2.44


- The highest ΔH_f (0 K) belongs to which entry?
  LaSi2